1.
# Sr3Ta3N5, relaxed, DFT PBE
data_Sr3Ta3N5
_space_group_name_H-M_alt 'P -1'
_space_group_IT_number 2
_space_group_name_Hall '-P 1'
_cell_length_a 6.236
_cell_length_b 8.249
_cell_length_c 8.355
_cell_angle_alpha 109.21
_cell_angle_beta 102.40
_cell_angle_gamma 102.84
loop_
_atom_site_label
_atom_site_fract_x
_atom_site_fract_y
_atom_site_fract_z
Sr1 0.143 0.349 0.379
Sr2 0.179 0.184 0.732
Sr3 0.236 0.937 0.092
Ta1 0.229 0.519 0.098
Ta2 0.401 0.807 0.461
Ta3 0.409 0.626 0.815
N1 0.097 0.546 0.861
N2 0.231 0.248 0.072
N3 0.278 0.016 0.433
N4 0.300 0.747 0.652
N5 0.482 0.408 0.662
# E (MP2020) (Ry/atom): -0.625
# Calculated volume (Å³ per cell): 376
# Energy relative to the elements (eV per atom): -1.026
# Mass density (Mg/m³): 7.74
# Calculated total energy (eV per atom): -8.346



2.
# Sr7TeN6, relaxed, DFT PBE
data_Sr7TeN6
_space_group_name_H-M_alt 'I b a m'
_space_group_IT_number 72
_space_group_name_Hall '-I 2 2c'
_cell_length_a 6.913
_cell_length_b 12.669
_cell_length_c 13.502
_cell_angle_alpha 90.00
_cell_angle_beta 90.00
_cell_angle_gamma 90.00
loop_
_atom_site_label
_atom_site_fract_x
_atom_site_fract_y
_atom_site_fract_z
Sr1 0.000 0.000 0.250
Sr2 0.135 0.284 0.130
Sr3 0.216 0.050 0.000
Te1 0.000 0.500 0.250
N1 0.114 0.148 0.500
N2 0.204 0.384 0.314
# E (MP2020) (Ry/atom): -0.378
# Calculated volume (Å³ per cell): 1183
# Energy relative to the elements (eV per atom): -0.507
# Mass density (Mg/m³): 4.63
# Calculated total energy (eV per atom): -4.994



3.
# Sr3Ti3N5, relaxed, DFT PBE
data_Sr3Ti3N5
_space_group_name_H-M_alt 'P -1'
_space_group_IT_number 2
_space_group_name_Hall '-P 1'
_cell_length_a 5.972
_cell_length_b 7.951
_cell_length_c 8.704
_cell_angle_alpha 109.80
_cell_angle_beta 103.94
_cell_angle_gamma 101.54
loop_
_atom_site_label
_atom_site_fract_x
_atom_site_fract_y
_atom_site_fract_z
Sr1 0.153 0.346 0.385
Sr2 0.186 0.180 0.725
Sr3 0.250 0.934 0.097
Ti1 0.206 0.487 0.095
Ti2 0.402 0.811 0.471
Ti3 0.407 0.628 0.805
N1 0.125 0.557 0.882
N2 0.243 0.233 0.041
N3 0.275 0.010 0.417
N4 0.309 0.747 0.650
N5 0.490 0.593 0.320
# E (MP2020) (Ry/atom): -0.567
# Calculated volume (Å³ per cell): 359
# Energy relative to the elements (eV per atom): -1.307
# Mass density (Mg/m³): 4.41
# Calculated total energy (eV per atom): -7.547



> Number 1 is which compound?

Sr3Ta3N5